1.
CaFe3Si2HO9: relaxed, PBE with a Hubbard U.

Values from the calculation:
**Space-group type**: P2_1/c
**Calculated formation energy**: -3816 kJ/mol of formula units
**Energy with MP2020 corrections**: -125.7 eV/f.u.

Unit cell a=8.8964 b=5.9795 c=13.1041 alpha=89.60 beta=90.00 gamma=90.00
Closest atoms and distances in Å follow each position.
Atoms (fractional coordinates):
Si: 0.1313 0.7517 0.4584  4 O 1.62-1.67
Si: 0.7257 0.2526 0.8207  4 O 1.65-1.68
Si: 0.8687 0.2483 0.5416  4 O 1.62-1.67
Si: 0.3687 0.7517 0.9584  4 O 1.62-1.67
Si: 0.2743 0.7474 0.1793  4 O 1.65-1.68
Si: 0.2257 0.7474 0.6793  4 O 1.65-1.68
Si: 0.7743 0.2526 0.3207  4 O 1.65-1.68
Si: 0.6313 0.2483 0.0416  4 O 1.62-1.67
Fe: 0.7406 0.7505 0.9416  2 O 1.99-2.13
Fe: 0.5486 0.0033 0.6105  6 O 2.06-2.30
Fe: 0.5518 0.4974 0.6106  6 O 1.97-2.11
Fe: 0.0486 0.9967 0.8895  6 O 2.06-2.30
Fe: 0.0518 0.5026 0.8894  6 O 1.97-2.11
Fe: 0.2594 0.2495 0.0584  2 O 1.99-2.13
Fe: 0.4514 0.9967 0.3895  6 O 2.06-2.30
Fe: 0.4482 0.5026 0.3894  6 O 1.97-2.11
Fe: 0.9482 0.4974 0.1106  6 O 1.97-2.11
Fe: 0.9514 0.0033 0.1105  6 O 2.06-2.30
Fe: 0.2406 0.2495 0.5584  2 O 1.99-2.13
Fe: 0.7594 0.7505 0.4416  2 O 1.99-2.13
Ca: 0.3686 0.2465 0.8120  7 O 2.32-2.49
Ca: 0.1314 0.2465 0.3120  7 O 2.32-2.49
Ca: 0.8686 0.7535 0.6880  7 O 2.32-2.49
Ca: 0.6314 0.7535 0.1880  7 O 2.32-2.49
O: 0.6748 0.0206 0.3283  1 Si 1.65
O: 0.6092 0.7390 0.7038  1 H 1.00
O: 0.0311 0.2719 0.0107  4 Fe 2.03-2.18
O: 0.1685 0.5207 0.1700  1 Si 1.66
O: 0.4005 0.7462 0.0842  2 Si 1.67-1.68
O: 0.4735 0.2490 0.1028  1 Si 1.62, 1 H 1.65
O: 0.2262 0.9840 0.4361  1 Si 1.65
O: 0.8315 0.4793 0.8300  1 Si 1.66
O: 0.7728 0.4798 0.5662  1 Si 1.66
O: 0.6685 0.4793 0.3300  1 Si 1.66
O: 0.8934 0.2610 0.2228  1 Si 1.67
O: 0.8252 0.0206 0.8283  1 Si 1.65
O: 0.1748 0.9794 0.1717  1 Si 1.65
O: 0.7738 0.0160 0.5639  1 Si 1.65
O: 0.3934 0.7390 0.2772  1 Si 1.67
O: 0.5311 0.7281 0.4893  4 Fe 2.03-2.18
O: 0.7262 0.0160 0.0639  1 Si 1.65
O: 0.2272 0.5202 0.4338  1 Si 1.66
O: 0.8908 0.7390 0.2038  1 H 1.00
O: 0.2738 0.9840 0.9361  1 Si 1.65
O: 0.3908 0.2610 0.2962  1 H 1.00
O: 0.6066 0.2610 0.7228  1 Si 1.67
O: 0.0265 0.2490 0.6028  1 Si 1.62, 1 H 1.65
O: 0.9689 0.7281 0.9893  4 Fe 2.03-2.18
O: 0.4689 0.2719 0.5107  4 Fe 2.03-2.18
O: 0.1066 0.7390 0.7772  1 Si 1.67
O: 0.0995 0.7462 0.5842  2 Si 1.67-1.68
O: 0.1092 0.2610 0.7962  1 H 1.00
O: 0.3315 0.5207 0.6700  1 Si 1.66
O: 0.2728 0.5202 0.9338  1 Si 1.66
O: 0.3252 0.9794 0.6717  1 Si 1.65
O: 0.7272 0.4798 0.0662  1 Si 1.66
O: 0.5265 0.7510 0.8972  1 Si 1.62, 1 H 1.65
O: 0.9005 0.2538 0.4158  2 Si 1.67-1.68
O: 0.5995 0.2538 0.9158  2 Si 1.67-1.68
O: 0.9735 0.7510 0.3972  1 Si 1.62, 1 H 1.65
H: 0.0654 0.2595 0.7256  1 O 1.00
H: 0.4346 0.2595 0.2256  1 O 1.00
H: 0.9346 0.7405 0.2744  1 O 1.00
H: 0.5654 0.7405 0.7744  1 O 1.00

2.
CaFe3Si2HO9: relaxed, PBE with a Hubbard U.

Values from the calculation:
**Space-group type**: Pnma
**Calculated formation energy**: -3794 kJ/mol of formula units
**Energy with MP2020 corrections**: -125.5 eV/f.u.

Unit cell a=5.9147 b=8.9087 c=13.1779 alpha=90.00 beta=90.00 gamma=90.00
Closest atoms and distances in Å follow each position.
Atoms (fractional coordinates):
O: 0.5170 0.7274 0.9355  1 Si 1.65
O: 0.7500 0.0261 0.3986  1 Si 1.61, 1 H 1.71
O: 0.9819 0.6701 0.6708  1 Si 1.65
O: 0.7500 0.8990 0.5849  2 Si 1.68
O: 0.2500 0.9687 0.0091  5 Fe 2.07-2.21
O: 0.2500 0.1088 0.2234  1 Si 1.66
O: 0.4819 0.3299 0.3292  1 Si 1.65
O: 0.4819 0.1701 0.8292  1 Si 1.65
O: 0.2500 0.3990 0.9151  2 Si 1.68
O: 0.4830 0.2274 0.5645  1 Si 1.65
O: 0.2500 0.8905 0.7981  1 H 1.00
O: 0.2500 0.6095 0.2981  1 H 1.00
O: 0.4830 0.2726 0.0645  1 Si 1.65
O: 0.0170 0.2726 0.0645  1 Si 1.65
O: 0.7500 0.4687 0.4909  5 Fe 2.07-2.21
O: 0.5181 0.6701 0.6708  1 Si 1.65
O: 0.9830 0.7726 0.4355  1 Si 1.65
O: 0.0170 0.2274 0.5645  1 Si 1.65
O: 0.5170 0.7726 0.4355  1 Si 1.65
O: 0.7500 0.6088 0.2766  1 Si 1.66
O: 0.7500 0.6010 0.0849  2 Si 1.68
O: 0.7500 0.1095 0.2019  1 H 1.00
O: 0.2500 0.5313 0.5091  5 Fe 2.07-2.21
O: 0.7500 0.4739 0.8986  1 Si 1.61, 1 H 1.71
O: 0.2500 0.9739 0.6014  1 Si 1.61, 1 H 1.71
O: 0.7500 0.0313 0.9909  5 Fe 2.07-2.21
O: 0.7500 0.3905 0.7019  1 H 1.00
O: 0.7500 0.8912 0.7766  1 Si 1.66
O: 0.9819 0.8299 0.1708  1 Si 1.65
O: 0.0181 0.3299 0.3292  1 Si 1.65
O: 0.2500 0.3912 0.7234  1 Si 1.66
O: 0.5181 0.8299 0.1708  1 Si 1.65
O: 0.2500 0.1010 0.4151  2 Si 1.68
O: 0.0181 0.1701 0.8292  1 Si 1.65
O: 0.2500 0.5261 0.1014  1 Si 1.61, 1 H 1.71
O: 0.9830 0.7274 0.9355  1 Si 1.65
Fe: 0.4891 0.0507 0.1100  6 O 2.03-2.21
Fe: 0.0109 0.0507 0.1100  6 O 2.03-2.21
Fe: 0.5109 0.5507 0.3900  6 O 2.03-2.21
Fe: 0.4891 0.4493 0.6100  6 O 2.03-2.21
Fe: 0.2500 0.7595 0.5586  2 O 1.99-2.13
Fe: 0.9891 0.9493 0.8900  6 O 2.03-2.21
Fe: 0.7500 0.2405 0.4414  2 O 1.99-2.13
Fe: 0.7500 0.2595 0.9414  2 O 1.99-2.13
Fe: 0.5109 0.9493 0.8900  6 O 2.03-2.21
Fe: 0.0109 0.4493 0.6100  6 O 2.03-2.21
Fe: 0.2500 0.7405 0.0586  2 O 1.99-2.13
Fe: 0.9891 0.5507 0.3900  6 O 2.03-2.21
Si: 0.2500 0.1309 0.5406  4 O 1.61-1.68
Si: 0.2500 0.3691 0.0406  4 O 1.61-1.68
Si: 0.7500 0.8691 0.4594  4 O 1.61-1.68
Si: 0.2500 0.2275 0.3209  4 O 1.65-1.68
Si: 0.7500 0.6309 0.9594  4 O 1.61-1.68
Si: 0.7500 0.7275 0.1791  4 O 1.65-1.68
Si: 0.2500 0.2725 0.8209  4 O 1.65-1.68
Si: 0.7500 0.7725 0.6791  4 O 1.65-1.68
Ca: 0.7500 0.3693 0.1871  7 O 2.32-2.48
Ca: 0.7500 0.1307 0.6871  7 O 2.32-2.48
Ca: 0.2500 0.8693 0.3129  7 O 2.32-2.48
Ca: 0.2500 0.6307 0.8129  7 O 2.32-2.48
H: 0.7500 0.4347 0.7718  1 O 1.00
H: 0.2500 0.5653 0.2282  1 O 1.00
H: 0.2500 0.9347 0.7282  1 O 1.00
H: 0.7500 0.0653 0.2718  1 O 1.00

3.
CaHoFe2O6: relaxed, PBE with a Hubbard U.

Values from the calculation:
**Space-group type**: Pmn2_1
**Calculated formation energy**: -2463 kJ/mol of formula units
**Energy with MP2020 corrections**: -78.7 eV/f.u.

Unit cell a=5.3358 b=5.5607 c=7.6375 alpha=90.00 beta=90.00 gamma=90.00
Closest atoms and distances in Å follow each position.
Atoms (fractional coordinates):
Fe: 0.0010 0.2443 0.2503  6 O 1.98-2.03
Fe: 0.0010 0.2443 0.7497  6 O 1.98-2.03
Fe: 0.5010 0.7557 0.7503  6 O 1.98-2.03
Fe: 0.5010 0.7557 0.2497  6 O 1.98-2.03
O: 0.7895 0.5413 0.7023  2 Fe 1.98-2.03
O: 0.1939 0.9425 0.1970  2 Fe 1.98-2.01
O: 0.2895 0.4587 0.7977  2 Fe 1.98-2.03
O: 0.1939 0.9425 0.8030  2 Fe 1.98-2.01
O: 0.6939 0.0575 0.3030  2 Fe 1.98-2.01
O: 0.6079 0.7762 0.0000  2 Fe 1.99
O: 0.7895 0.5413 0.2977  2 Fe 1.98-2.03
O: 0.4159 0.7176 0.5000  2 Fe 1.98
O: 0.6939 0.0575 0.6970  2 Fe 1.98-2.01
O: 0.9159 0.2824 0.0000  2 Fe 1.98
O: 0.1079 0.2238 0.5000  2 Fe 1.99
O: 0.2895 0.4587 0.2023  2 Fe 1.98-2.03
Ca: 0.9892 0.8021 0.5000  6 O 2.32-2.60
Ca: 0.4892 0.1979 0.0000  6 O 2.32-2.60
Ho: 0.5179 0.3176 0.5000  6 O 2.25-2.46
Ho: 0.0179 0.6824 0.0000  6 O 2.25-2.46

Question: Which of these has the highest calculated formation energy?
Answer: CaHoFe2O6